Entry 1:
The following is a PBE+U calculation of a relaxed Li5VP2O8F2 crystal, from the Materials Project.

Summary:
DFT formation energy in eV per atom: -2.83

CIF file:
```
data_Li5VP2O8F2
_chemical_formula_sum 'Li20 V4 P8 O32 F8'
_cell_length_a 6.457
_cell_length_b 10.937
_cell_length_c 10.520
_cell_angle_alpha 90.00
_cell_angle_beta 90.02
_cell_angle_gamma 90.00
_space_group_name_H-M_alt 'P 1 21/c 1'
_space_group_IT_number 14
loop_
_space_group_symop_operation_xyz
'x,y,z'
'-x,-y,-z'
'-x,y+1/2,-z+1/2'
'x,-y+1/2,z+1/2'
loop_
_atom_site_label
_atom_site_type_symbol
_atom_site_fract_x
_atom_site_fract_y
_atom_site_fract_z
Li1 Li 0.000 0.000 0.000
Li2 Li 0.000 0.000 0.500
Li3 Li 0.009 0.166 0.268
Li4 Li 0.241 0.084 0.773
Li5 Li 0.245 0.724 0.025
Li6 Li 0.468 0.663 0.254
V1 V 0.500 0.000 0.000
V2 V 0.500 0.000 0.500
P1 P 0.241 0.579 0.744
P2 P 0.248 0.245 0.524
O1 O 0.047 0.513 0.696
O2 O 0.054 0.184 0.468
O3 O 0.239 0.717 0.717
O4 O 0.257 0.245 0.671
O5 O 0.262 0.120 0.974
O6 O 0.263 0.556 0.891
O7 O 0.440 0.518 0.684
O8 O 0.442 0.177 0.466
F1 F 0.274 0.531 0.133
F2 F 0.287 0.623 0.440
```

Entry 2:
The following is a PBE+U calculation of a relaxed Mn4Nb2O9 crystal, from the Materials Project.

Summary:
DFT formation energy in eV per atom: -2.54

CIF file:
```
data_Mn4Nb2O9
_chemical_formula_sum 'Mn8 Nb4 O18'
_cell_length_a 5.3878
_cell_length_b 5.3878
_cell_length_c 14.5319
_cell_angle_alpha 90.00
_cell_angle_beta 90.00
_cell_angle_gamma 120.00
_space_group_name_H-M_alt 'P -3 c 1'
_space_group_IT_number 165
_space_group_name_Hall '-P 3 2"c'
loop_
_atom_site_label
_atom_site_type_symbol
_atom_site_fract_x
_atom_site_fract_y
_atom_site_fract_z
Mn1 Mn 0.3333 0.6667 0.0180
Mn2 Mn 0.3333 0.6667 0.3032
Nb1 Nb 0.0000 0.0000 0.1425
O1 O 0.0000 0.2789 0.2500
O2 O 0.0278 0.3369 0.9143
```

Entry 3:
The following is a PBE+U calculation of a relaxed VGeO3 crystal, from the Materials Project.

Summary:
DFT formation energy in eV per atom: -2.16

CIF file:
```
data_VGeO3
_chemical_formula_sum 'V8 Ge8 O24'
_cell_length_a 9.958
_cell_length_b 9.253
_cell_length_c 5.273
_cell_angle_alpha 90.00
_cell_angle_beta 100.01
_cell_angle_gamma 90.00
_space_group_name_H-M_alt 'C 1 2/c 1'
_space_group_IT_number 15
loop_
_space_group_symop_operation_xyz
'x,y,z'
'-x,-y,-z'
'-x,y,-z+1/2'
'x,-y,z+1/2'
'x+1/2,y+1/2,z'
'-x+1/2,-y+1/2,-z'
'-x+1/2,y+1/2,-z+1/2'
'x+1/2,-y+1/2,z+1/2'
loop_
_atom_site_label
_atom_site_type_symbol
_atom_site_fract_x
_atom_site_fract_y
_atom_site_fract_z
V1 V 0.000 0.091 0.250
V2 V 0.000 0.273 0.750
Ge1 Ge 0.200 0.406 0.291
O1 O 0.119 0.093 0.637
O2 O 0.121 0.258 0.128
O3 O 0.141 0.434 0.598
```

Entry 4:
The following is a PBE+U calculation of a relaxed LiNiBP2H6O11 crystal, from the Materials Project.

Summary:
DFT formation energy in eV per atom: -2.02

CIF file:
```
data_LiNiBP2H6O11
_chemical_formula_sum 'Li6 Ni6 B6 P12 H36 O66'
_cell_length_a 9.4882
_cell_length_b 9.4882
_cell_length_c 15.8790
_cell_angle_alpha 90.00
_cell_angle_beta 90.00
_cell_angle_gamma 120.00
_space_group_name_H-M_alt 'P 61 2 2'
_space_group_IT_number 178
_space_group_name_Hall 'P 61 2 (0 0 5)'
loop_
_atom_site_label
_atom_site_type_symbol
_atom_site_fract_x
_atom_site_fract_y
_atom_site_fract_z
Li1 Li 0.2287 0.4574 0.2500
Ni1 Ni 0.0996 0.5498 0.0833
B1 B 0.1532 0.3064 0.7500
P1 P 0.1680 0.3918 0.9196
H1 H 0.0318 0.1496 0.2078
H2 H 0.1351 0.4386 0.4312
H3 H 0.2038 0.5948 0.3752
O1 O 0.0197 0.2158 0.9354
O2 O 0.0749 0.3915 0.5444
O3 O 0.1097 0.2194 0.2500
O4 O 0.1343 0.5221 0.9549
O5 O 0.1821 0.4201 0.8207
O6 O 0.2100 0.4944 0.3833
```

Entry 5:
The following is a PBE+U calculation of a relaxed Li9Mn2Co5O16 crystal, from the Materials Project.

Summary:
DFT formation energy in eV per atom: -1.80

CIF file:
```
data_Li9Mn2Co5O16
_chemical_formula_sum 'Li9 Mn2 Co5 O16'
_cell_length_a 2.911
_cell_length_b 5.150
_cell_length_c 19.556
_cell_angle_alpha 95.01
_cell_angle_beta 91.26
_cell_angle_gamma 91.66
_space_group_name_H-M_alt 'P -1'
_space_group_IT_number 2
loop_
_space_group_symop_operation_xyz
'x,y,z'
'-x,-y,-z'
loop_
_atom_site_label
_atom_site_type_symbol
_atom_site_fract_x
_atom_site_fract_y
_atom_site_fract_z
Li1 Li 0.000 0.000 0.000
Li2 Li 0.004 0.123 0.371
Li3 Li 0.005 0.375 0.122
Li4 Li 0.497 0.624 0.373
Li5 Li 0.497 0.885 0.119
Mn1 Mn 0.500 0.000 0.500
Mn2 Mn 0.500 0.500 0.000
Co1 Co 0.000 0.500 0.500
Co2 Co 0.001 0.750 0.250
Co3 Co 0.500 0.250 0.249
O1 O 0.013 0.669 0.056
O2 O 0.018 0.070 0.193
O3 O 0.018 0.571 0.691
O4 O 0.027 0.815 0.443
O5 O 0.467 0.320 0.446
O6 O 0.482 0.427 0.806
O7 O 0.485 0.932 0.309
O8 O 0.497 0.217 0.058
```

Entry 6:
The following is a PBE+U calculation of a relaxed LiMn2P2HO9 crystal, from the Materials Project.

Summary:
DFT formation energy in eV per atom: -2.34

CIF file:
```
data_LiMn2P2HO9
_chemical_formula_sum 'Li2 Mn4 P4 H2 O18'
_cell_length_a 6.163
_cell_length_b 6.840
_cell_length_c 8.931
_cell_angle_alpha 90.00
_cell_angle_beta 107.29
_cell_angle_gamma 90.00
_space_group_name_H-M_alt 'P 1 21/m 1'
_space_group_IT_number 11
loop_
_space_group_symop_operation_xyz
'x,y,z'
'-x,-y,-z'
'-x,y+1/2,-z'
'x,-y+1/2,z'
loop_
_atom_site_label
_atom_site_type_symbol
_atom_site_fract_x
_atom_site_fract_y
_atom_site_fract_z
Li1 Li 0.011 0.250 0.354
Mn1 Mn 0.472 0.250 0.793
Mn2 Mn 0.500 0.000 0.500
P1 P 0.095 0.750 0.304
P2 P 0.442 0.250 0.163
H1 H 0.072 0.250 0.013
O1 O 0.159 0.250 0.778
O2 O 0.164 0.562 0.407
O3 O 0.169 0.250 0.123
O4 O 0.202 0.750 0.167
O5 O 0.413 0.250 0.560
O6 O 0.472 0.569 0.735
O7 O 0.472 0.750 0.980
```

Entry 7:
The following is a PBE+U calculation of a relaxed FeO2 crystal, from the Materials Project.

Summary:
DFT formation energy in eV per atom: -1.09

CIF file:
```
data_FeO2
_chemical_formula_sum 'Fe32 O64'
_cell_length_a 10.090
_cell_length_b 5.970
_cell_length_c 19.465
_cell_angle_alpha 90.00
_cell_angle_beta 100.37
_cell_angle_gamma 90.00
_space_group_name_H-M_alt 'C 1 m 1'
_space_group_IT_number 8
loop_
_space_group_symop_operation_xyz
'x,y,z'
'x,-y,z'
'x+1/2,y+1/2,z'
'x+1/2,-y+1/2,z'
loop_
_atom_site_label
_atom_site_type_symbol
_atom_site_fract_x
_atom_site_fract_y
_atom_site_fract_z
Fe1 Fe 0.000 0.000 0.000
Fe2 Fe 0.006 0.500 0.495
Fe3 Fe 0.106 0.500 0.781
Fe4 Fe 0.203 0.000 0.558
Fe5 Fe 0.228 0.258 0.904
Fe6 Fe 0.230 0.251 0.403
Fe7 Fe 0.251 0.000 0.750
Fe8 Fe 0.253 0.500 0.245
Fe9 Fe 0.356 0.000 0.033
Fe10 Fe 0.454 0.000 0.314
Fe11 Fe 0.475 0.255 0.649
Fe12 Fe 0.482 0.251 0.157
O1 O 0.026 0.500 0.595
O2 O 0.029 0.500 0.097
O3 O 0.034 0.000 0.098
O4 O 0.046 0.000 0.596
O5 O 0.055 0.257 0.347
O6 O 0.065 0.277 0.842
O7 O 0.146 0.261 0.719
O8 O 0.153 0.254 0.211
O9 O 0.169 0.500 0.460
O10 O 0.172 0.000 0.967
O11 O 0.174 0.000 0.461
O12 O 0.179 0.500 0.955
O13 O 0.277 0.000 0.850
O14 O 0.281 0.500 0.344
O15 O 0.288 0.500 0.845
O16 O 0.290 0.000 0.348
O17 O 0.296 0.235 0.596
O18 O 0.318 0.223 0.093
O19 O 0.399 0.236 0.970
O20 O 0.404 0.242 0.462
O21 O 0.412 0.500 0.207
O22 O 0.416 0.500 0.695
O23 O 0.421 0.000 0.716
O24 O 0.430 0.000 0.217
```

Entry 8:
The following is a PBE+U calculation of a relaxed LiTi2Mn3O10 crystal, from the Materials Project.

Summary:
DFT formation energy in eV per atom: -2.49

CIF file:
```
data_LiTi2Mn3O10
_chemical_formula_sum 'Li1 Ti2 Mn3 O10'
_cell_length_a 5.021
_cell_length_b 5.085
_cell_length_c 7.926
_cell_angle_alpha 74.94
_cell_angle_beta 73.61
_cell_angle_gamma 81.99
_space_group_name_H-M_alt 'P 1'
_space_group_IT_number 1
loop_
_space_group_symop_operation_xyz
'x,y,z'
loop_
_atom_site_label
_atom_site_type_symbol
_atom_site_fract_x
_atom_site_fract_y
_atom_site_fract_z
Li1 Li 0.000 0.000 0.000
Ti1 Ti 0.217 0.491 0.218
Ti2 Ti 0.448 0.485 0.861
Mn1 Mn 0.028 0.516 0.639
Mn2 Mn 0.333 0.002 0.541
Mn3 Mn 0.636 0.494 0.440
O1 O 0.142 0.750 0.756
O2 O 0.225 0.268 0.063
O3 O 0.293 0.720 0.418
O4 O 0.369 0.285 0.667
O5 O 0.416 0.717 0.013
O6 O 0.520 0.257 0.328
O7 O 0.687 0.710 0.597
O8 O 0.802 0.317 0.850
O9 O 0.872 0.682 0.230
O10 O 0.975 0.293 0.485
```